Record 1
This record from Materials Project describes a relaxed TbPd2Pb crystal. The functional is PBE.

abc: 4.890 4.890 4.890
angles: 60.00 60.00 60.00
Sites, in units of the cell vectors:
Pd: 0.750 0.750 0.750
Pd: 0.250 0.250 0.250
Tb: 0.500 0.500 0.500
Pb: 0.000 0.000 0.000

Calculated values
Formation enthalpy at 0 K   -2.8 eV per formula unit
Theoretical density   11.628 g cm⁻³


Record 2
This record from Materials Project describes a relaxed Tl2Pd9Pb crystal. The functional is PBE.

abc: 12.294 12.294 12.294
angles: 160.55 160.55 27.64
Sites, in units of the cell vectors:
Pd: 0.668 0.668 0.000
Pd: 0.084 0.584 0.500
Pd: 0.416 0.916 0.500
Pd: 0.500 0.500 0.000
Pd: 0.916 0.416 0.500
Pd: 0.250 0.750 0.500
Pd: 0.331 0.331 0.000
Pd: 0.750 0.250 0.500
Pd: 0.584 0.084 0.500
Tl: 0.001 0.001 0.000
Tl: 0.166 0.166 0.000
Pb: 0.834 0.834 0.000

Calculated values
Formation enthalpy at 0 K   -2.9 eV per formula unit
Theoretical density   12.695 g cm⁻³
Total magnetic moment   0.0 μB/cell


Record 3
This record from Materials Project describes a relaxed Tl4Pd15Pb crystal. The functional is PBE.

abc: 4.105 4.105 20.488
angles: 90.00 90.00 90.00
Sites, in units of the cell vectors:
Pd: 0.500 0.000 0.900
Pd: 0.000 0.500 0.900
Pd: 0.500 0.500 0.600
Pd: 0.500 0.000 0.300
Pd: 0.000 0.500 0.300
Pd: 0.000 0.500 0.100
Pd: 0.500 0.000 0.700
Pd: 0.000 0.500 0.700
Pd: 0.500 0.500 0.800
Pd: 0.500 0.000 0.100
Pd: 0.500 0.500 0.400
Pd: 0.000 0.500 0.500
Pd: 0.500 0.500 0.000
Pd: 0.500 0.500 0.200
Pd: 0.500 0.000 0.500
Tl: 0.000 0.000 0.799
Tl: 0.000 0.000 0.600
Tl: 0.000 0.000 0.201
Tl: 0.000 0.000 0.400
Pb: 0.000 0.000 0.000

Calculated values
Formation enthalpy at 0 K   -4.2 eV per formula unit
Theoretical density   12.603 g cm⁻³
Total magnetic moment   0.0 μB/cell


Record 4
This record from Materials Project describes a relaxed TmPd2Pb crystal. The functional is PBE.

abc: 4.844 4.844 4.844
angles: 60.00 60.00 60.00
Sites, in units of the cell vectors:
Tm: 0.500 0.500 0.500
Pd: 0.750 0.750 0.750
Pd: 0.250 0.250 0.250
Pb: 0.000 0.000 0.000

Calculated values
Formation enthalpy at 0 K   -2.8 eV per formula unit
Theoretical density   12.170 g cm⁻³


Record 5
This record from Materials Project describes a relaxed Y2Pd2Pb crystal. The functional is PBE.

abc: 7.952 7.952 3.640
angles: 90.00 90.00 90.00
Sites, in units of the cell vectors:
Pb: 0.500 0.500 0.000
Pb: 0.000 0.000 0.000
Y: 0.172 0.328 0.500
Y: 0.328 0.828 0.500
Y: 0.828 0.672 0.500
Y: 0.672 0.172 0.500
Pd: 0.625 0.875 0.000
Pd: 0.125 0.625 0.000
Pd: 0.375 0.125 0.000
Pd: 0.875 0.375 0.000

Calculated values
Formation enthalpy at 0 K   -4.2 eV per formula unit
Theoretical density   8.625 g cm⁻³


Record 6
This record from Materials Project describes a relaxed PmRh2Pb crystal. The functional is PBE.

abc: 4.844 4.844 4.844
angles: 60.00 60.00 60.00
Sites, in units of the cell vectors:
Pb: 0.500 0.500 0.500
Rh: 0.250 0.250 0.250
Rh: 0.750 0.750 0.750
Pm: 0.000 0.000 0.000

Calculated values
Formation enthalpy at 0 K   -1.9 eV per formula unit
Theoretical density   11.526 g cm⁻³